# Mn2PClO4

A relaxed Mn2PClO4 crystal (PBE+U, Materials Project).

DFT formation energy ... -2326 meV per atom
Magnetic moment ... 0.0 μB per formula unit
Space-group type ... No. 33

Lattice parameters (Å, degrees): 11.535 8.179 4.984 90.00 90.00 90.00
Element x y z (fractional)
Mn 0.120 0.104 0.000
Mn 0.124 0.654 0.997
Mn 0.376 0.154 0.497
Mn 0.380 0.604 0.500
Mn 0.620 0.396 0.000
Mn 0.624 0.846 0.997
Mn 0.876 0.346 0.497
Mn 0.880 0.896 0.500
P 0.164 0.878 0.547
P 0.336 0.378 0.047
P 0.664 0.622 0.547
P 0.836 0.122 0.047
Cl 0.065 0.380 0.740
Cl 0.435 0.880 0.240
Cl 0.565 0.120 0.740
Cl 0.935 0.620 0.240
O 0.044 0.875 0.700
O 0.150 0.879 0.238
O 0.225 0.036 0.646
O 0.229 0.723 0.647
O 0.271 0.223 0.147
O 0.275 0.536 0.146
O 0.350 0.379 0.738
O 0.456 0.375 0.200
O 0.544 0.625 0.700
O 0.650 0.621 0.238
O 0.725 0.464 0.646
O 0.729 0.777 0.647
O 0.771 0.277 0.147
O 0.775 0.964 0.146
O 0.850 0.121 0.738
O 0.956 0.125 0.200


# Rb2MnCl4O2

A relaxed Rb2MnCl4O2 crystal (PBE+U, Materials Project).

DFT formation energy ... -1173 meV per atom
Magnetic moment ... 1.0 μB per formula unit
Space-group type ... No. 2

Lattice parameters (Å, degrees): 5.958 6.822 6.859 60.87 84.45 86.78
Element x y z (fractional)
Rb 0.243 0.135 0.172
Rb 0.757 0.865 0.828
Mn 0.000 0.500 0.500
Cl 0.212 0.641 0.148
Cl 0.237 0.178 0.647
Cl 0.763 0.822 0.353
Cl 0.788 0.359 0.852
O 0.171 0.642 0.579
O 0.829 0.358 0.421


# Rb2MnV2Cl2O6

A relaxed Rb2MnV2Cl2O6 crystal (PBE+U, Materials Project).

DFT formation energy ... -1943 meV per atom
Magnetic moment ... 5.0 μB per formula unit
E above lowest polymorph ... 251 meV/atom
Space-group type ... No. 1

Lattice parameters (Å, degrees): 5.515 9.857 10.978 95.27 97.49 95.48
Element x y z (fractional)
Rb 0.000 0.000 0.000
Rb 0.046 0.499 0.463
Rb 0.293 0.779 0.771
Rb 0.517 0.296 0.170
Mn 0.403 0.148 0.814
Mn 0.847 0.035 0.618
V 0.460 0.211 0.525
V 0.556 0.716 0.100
V 0.790 0.004 0.321
V 0.920 0.567 0.007
Cl 0.000 0.349 0.060
Cl 0.087 0.877 0.395
Cl 0.680 0.795 0.590
Cl 0.886 0.522 0.794
O 0.125 0.047 0.751
O 0.151 0.201 0.506
O 0.238 0.669 0.054
O 0.374 0.296 0.886
O 0.529 0.043 0.913
O 0.565 0.365 0.485
O 0.579 0.168 0.679
O 0.607 0.861 0.207
O 0.609 0.078 0.438
O 0.708 0.739 0.974
O 0.712 0.577 0.146
O 0.900 0.114 0.231


# Rb2MnV2Cl2O6

A relaxed Rb2MnV2Cl2O6 crystal (PBE+U, Materials Project).

DFT formation energy ... -2194 meV per atom
Magnetic moment ... 0.0 μB per formula unit
E above lowest polymorph ... 0 meV/atom

Lattice parameters (Å, degrees): 5.602 10.691 10.786 59.89 105.75 91.35
Element x y z (fractional)
Rb 0.398 0.702 0.746
Rb 0.398 0.202 0.746
Rb 0.652 0.948 0.254
Rb 0.652 0.447 0.254
Mn 0.001 0.303 0.000
Mn 0.002 0.803 0.000
V 0.822 0.531 0.599
V 0.223 0.130 0.401
V 0.822 0.031 0.599
V 0.223 0.630 0.401
Cl 0.451 0.309 0.000
Cl 0.452 0.809 0.000
Cl 0.981 0.042 0.000
Cl 0.982 0.542 0.000
O 0.827 0.892 0.773
O 0.826 0.392 0.773
O 0.054 0.165 0.227
O 0.054 0.665 0.227
O 0.828 0.187 0.596
O 0.828 0.687 0.596
O 0.232 0.283 0.404
O 0.232 0.783 0.404
O 0.089 0.001 0.546
O 0.089 0.502 0.546
O 0.543 0.047 0.454
O 0.542 0.548 0.454


# Rb2MnV2Cl2O6

A relaxed Rb2MnV2Cl2O6 crystal (PBE+U, Materials Project).

DFT formation energy ... -2185 meV per atom
Magnetic moment ... 5.0 μB per formula unit
E above lowest polymorph ... 9 meV/atom
Space-group type ... No. 5

Lattice parameters (Å, degrees): 10.908 10.908 5.613 104.65 104.65 60.41
Element x y z (fractional)
Rb 0.126 0.126 0.130
Rb 0.372 0.371 0.870
Rb 0.629 0.628 0.130
Rb 0.874 0.874 0.870
Mn 0.263 0.737 0.500
Mn 0.761 0.239 0.500
V 0.038 0.560 0.278
V 0.440 0.962 0.722
V 0.540 0.061 0.318
V 0.939 0.460 0.682
Cl 0.033 0.967 0.500
Cl 0.271 0.729 0.000
Cl 0.532 0.468 0.500
Cl 0.771 0.229 0.000
O 0.033 0.437 0.437
O 0.063 0.465 0.966
O 0.174 0.602 0.407
O 0.295 0.117 0.728
O 0.385 0.207 0.312
O 0.398 0.826 0.593
O 0.535 0.937 0.034
O 0.563 0.967 0.563
O 0.676 0.101 0.362
O 0.793 0.615 0.688
O 0.883 0.705 0.272
O 0.899 0.324 0.638


# SmMnSe2ClO6

A relaxed SmMnSe2ClO6 crystal (PBE+U, Materials Project).

DFT formation energy ... -2044 meV per atom
Magnetic moment ... 5.0 μB per formula unit
Space-group type ... No. 2

Lattice parameters (Å, degrees): 7.096 7.366 8.167 86.66 71.70 64.35
Element x y z (fractional)
Sm 0.180 0.170 0.467
Sm 0.820 0.830 0.533
Mn 0.199 0.096 0.977
Mn 0.801 0.904 0.023
Se 0.176 0.525 0.182
Se 0.298 0.741 0.682
Se 0.702 0.259 0.318
Se 0.824 0.475 0.818
Cl 0.434 0.855 0.167
Cl 0.566 0.145 0.833
O 0.087 0.275 0.774
O 0.093 0.894 0.597
O 0.123 0.315 0.186
O 0.173 0.830 0.899
O 0.183 0.522 0.392
O 0.449 0.878 0.612
O 0.551 0.122 0.388
O 0.817 0.478 0.608
O 0.827 0.170 0.101
O 0.877 0.685 0.814
O 0.907 0.106 0.403
O 0.913 0.725 0.226